No. 1
VASP calculation (PBE) on a relaxed structure of LiH12N4.

Geometry as POSCAR:
```
LiH12N4
1.0
7.390 10.087 1.960
-10.406 0.941 7.145
6.313 -10.522 3.105
H N Li
96 32 8
Direct
0.200 0.317 0.778
0.078 0.117 0.300
0.134 0.025 0.245
0.105 0.541 0.092
0.908 0.513 0.449
0.462 0.183 0.383
0.647 0.724 0.894
0.975 0.720 0.109
0.720 0.109 0.975
0.891 0.366 0.611
0.577 0.247 0.353
0.300 0.078 0.117
0.541 0.092 0.105
0.459 0.051 0.563
0.391 0.111 0.866
0.605 0.592 0.041
0.389 0.780 0.755
0.025 0.245 0.134
0.222 0.922 0.538
0.317 0.778 0.200
0.475 0.609 0.220
0.563 0.459 0.051
0.592 0.041 0.605
0.525 0.634 0.745
0.051 0.563 0.459
0.962 0.883 0.683
0.255 0.280 0.889
0.220 0.475 0.609
0.922 0.538 0.222
0.092 0.105 0.541
0.895 0.937 0.987
0.722 0.038 0.422
0.634 0.745 0.525
0.606 0.330 0.753
0.987 0.895 0.937
0.224 0.147 0.394
0.183 0.383 0.462
0.276 0.670 0.923
0.923 0.276 0.670
0.578 0.800 0.617
0.889 0.255 0.280
0.830 0.106 0.253
0.109 0.975 0.720
0.866 0.391 0.111
0.422 0.722 0.038
0.753 0.606 0.330
0.778 0.200 0.317
0.949 0.013 0.408
0.280 0.889 0.255
0.853 0.747 0.077
0.253 0.830 0.106
0.330 0.753 0.606
0.063 0.551 0.959
0.170 0.776 0.423
0.449 0.908 0.513
0.776 0.423 0.170
0.041 0.605 0.592
0.038 0.422 0.722
0.111 0.866 0.391
0.617 0.578 0.800
0.394 0.224 0.147
0.683 0.962 0.883
0.487 0.437 0.395
0.894 0.647 0.724
0.538 0.222 0.922
0.611 0.891 0.366
0.700 0.278 0.817
0.513 0.449 0.908
0.937 0.987 0.895
0.724 0.894 0.647
0.383 0.462 0.183
0.747 0.077 0.853
0.551 0.959 0.063
0.013 0.408 0.949
0.366 0.611 0.891
0.437 0.395 0.487
0.670 0.923 0.276
0.755 0.389 0.780
0.745 0.525 0.634
0.117 0.300 0.078
0.077 0.853 0.747
0.780 0.755 0.389
0.247 0.353 0.577
0.106 0.253 0.830
0.883 0.683 0.962
0.423 0.170 0.776
0.800 0.617 0.578
0.278 0.817 0.700
0.395 0.487 0.437
0.147 0.394 0.224
0.959 0.063 0.551
0.817 0.700 0.278
0.408 0.949 0.013
0.353 0.577 0.247
0.609 0.220 0.475
0.245 0.134 0.025
0.818 0.699 0.360
0.318 0.860 0.199
0.640 0.958 0.339
0.000 0.591 0.500
0.360 0.818 0.699
0.381 0.542 0.182
0.161 0.119 0.301
0.119 0.301 0.161
0.682 0.042 0.881
0.182 0.381 0.542
0.409 0.409 0.409
0.199 0.318 0.860
0.542 0.182 0.381
0.339 0.640 0.958
0.619 0.661 0.801
0.801 0.619 0.661
0.699 0.360 0.818
0.839 0.458 0.140
0.091 0.500 0.000
0.500 0.000 0.591
0.140 0.839 0.458
0.661 0.801 0.619
0.301 0.161 0.119
0.591 0.500 0.000
0.000 0.091 0.500
0.860 0.199 0.318
0.881 0.682 0.042
0.458 0.140 0.839
0.909 0.909 0.909
0.042 0.881 0.682
0.500 0.000 0.091
0.958 0.339 0.640
0.500 0.000 0.756
0.000 0.256 0.500
0.500 0.000 0.256
0.244 0.244 0.244
0.256 0.500 0.000
0.744 0.744 0.744
0.000 0.756 0.500
0.756 0.500 0.000
```

Computed properties:
Electronic total energy (eV per atom): -4.803
Energy of formation from the pure elements (meV/atom): -419
E (MP2020) (eV per atom): -4.887

No. 2
VASP calculation (PBE) on a relaxed structure of LiH2N.

Geometry as POSCAR:
```
LiH2N
1.0
3.826 0.000 0.000
0.000 4.707 0.000
0.000 0.000 5.300
H N Li
8 4 4
Direct
0.500 0.500 0.500
0.500 0.000 0.000
0.364 0.750 0.780
0.500 0.500 0.000
0.636 0.750 0.280
0.364 0.250 0.720
0.636 0.250 0.220
0.500 0.000 0.500
0.316 0.750 0.972
0.684 0.750 0.472
0.684 0.250 0.028
0.316 0.250 0.528
0.928 0.000 0.750
0.928 0.500 0.750
0.072 0.500 0.250
0.072 0.000 0.250
```

Computed properties:
Offset from the most stable computed form (eV/atom): 0.279
Electronic total energy (eV per atom): -4.481
Energy of formation from the pure elements (meV/atom): -313
E (MP2020) (eV per atom): -4.571

No. 3
VASP calculation (PBE) on a relaxed structure of LiH2N.

Geometry as POSCAR:
```
LiH2N
1.0
-0.446 0.938 -3.248
-2.719 -5.023 -1.077
-5.703 2.750 1.577
N Li H
4 4 8
Direct
0.330 0.160 0.901
0.170 0.160 0.401
0.670 0.660 0.099
0.830 0.660 0.599
0.352 0.857 0.549
0.648 0.357 0.451
0.148 0.857 0.049
0.852 0.357 0.951
0.688 0.682 0.256
0.565 0.050 0.917
0.435 0.550 0.083
0.312 0.182 0.744
0.188 0.182 0.244
0.812 0.682 0.756
0.935 0.050 0.417
0.065 0.550 0.583
```

Computed properties:
Offset from the most stable computed form (eV/atom): 0.084
Electronic total energy (eV per atom): -4.676
Energy of formation from the pure elements (meV/atom): -508
E (MP2020) (eV per atom): -4.766

No. 4
VASP calculation (PBE) on a relaxed structure of Li2HN.

Geometry as POSCAR:
```
Li2HN
1.0
-3.104 0.373 1.936
-2.945 -2.092 -0.687
-1.100 -2.590 2.368
Li N H
2 1 1
Direct
0.282 0.282 0.282
0.747 0.747 0.747
0.975 0.975 0.975
0.089 0.089 0.089
```

Computed properties:
Offset from the most stable computed form (eV/atom): 0.086
Electronic total energy (eV per atom): -4.294
Energy of formation from the pure elements (meV/atom): -498
Piezoelectric modulus e_max (C/m2): 1.17
E (MP2020) (eV per atom): -4.385

No. 5
VASP calculation (PBE) on a relaxed structure of LiH2N.

Geometry as POSCAR:
```
LiH2N
1.0
3.661 0.000 0.000
0.000 3.757 0.000
0.000 0.068 8.598
Li H N
4 8 4
Direct
0.255 0.753 0.007
0.755 0.247 0.493
0.245 0.753 0.507
0.745 0.247 0.993
0.395 0.119 0.208
0.570 0.609 0.305
0.070 0.391 0.195
0.605 0.881 0.792
0.930 0.609 0.805
0.105 0.119 0.708
0.430 0.391 0.695
0.895 0.881 0.292
0.256 0.250 0.623
0.756 0.750 0.877
0.244 0.250 0.123
0.744 0.750 0.377
```

Computed properties:
Offset from the most stable computed form (eV/atom): 0.037
Electronic total energy (eV per atom): -4.723
Energy of formation from the pure elements (meV/atom): -556
E (MP2020) (eV per atom): -4.813

No. 6
VASP calculation (PBE) on a relaxed structure of LiPH3NO3.

Geometry as POSCAR:
```
LiPH3NO3
1.0
4.948 0.007 -1.143
-1.113 8.364 -1.685
-0.125 0.071 8.994
H O Li P N
12 12 4 4 4
Direct
0.364 0.098 0.349
0.636 0.902 0.651
0.309 0.705 0.743
0.596 0.824 0.298
0.154 0.625 0.173
0.497 0.389 0.152
0.846 0.375 0.827
0.503 0.611 0.848
0.003 0.543 0.829
0.997 0.457 0.171
0.691 0.295 0.257
0.404 0.176 0.702
0.707 0.621 0.492
0.348 0.673 0.846
0.796 0.242 0.452
0.734 0.970 0.113
0.204 0.758 0.548
0.293 0.379 0.508
0.181 0.518 0.199
0.652 0.327 0.154
0.266 0.030 0.887
0.819 0.482 0.801
0.167 0.827 0.170
0.833 0.173 0.830
0.644 0.133 0.990
0.315 0.570 0.428
0.685 0.430 0.572
0.356 0.867 0.010
0.100 0.230 0.491
0.966 0.927 0.232
0.034 0.073 0.768
0.900 0.770 0.509
0.838 0.909 0.650
0.162 0.091 0.350
0.196 0.169 0.662
0.804 0.831 0.338
```

Computed properties:
Electronic total energy (eV per atom): -5.921
Energy of formation from the pure elements (meV/atom): -1630
E (MP2020) (eV per atom): -6.150

The highest E (MP2020) belongs to which entry? Li2HN

What is the formula in the fourth record? Li2HN

Which formula does entry 4 have? Li2HN

Which value of electronic total energy does entry 2 give? -4.481 eV per atom